[1]
4
Lattice="-2.051 2.051 4.240 2.051 -2.051 4.240 2.051 2.051 -4.240" Properties=species:S:1:pos:R:3 comment="r²SCAN MgGa3, relaxed" e_tot_ev_per_cell=-38.627 formation_energy_ev_per_atom=-0.032 density_g_cm3=5.434 pbc="T T T"
Mg 0.000 0.000 0.000
Ga 0.000 2.051 2.120
Ga 2.051 0.000 2.120
Ga 0.000 0.000 4.240

=====

[2]
9
Lattice="0.000 0.000 3.345 -4.157 4.153 1.673 -4.174 -4.169 -1.673" Properties=species:S:1:pos:R:3 comment="r²SCAN SrMg2Ga2N4, relaxed" e_tot_ev_per_cell=-90.463 formation_energy_ev_per_atom=-0.842 density_g_cm3=4.749 pbc="T T T"
N -3.415 -2.058 0.000
N -6.024 -0.756 1.673
N -2.051 0.829 1.673
N -5.013 1.949 3.345
Mg -2.710 -1.090 1.673
Mg -3.034 1.475 3.345
Sr -0.052 0.025 3.345
Ga -5.738 1.165 1.673
Ga -5.291 -1.606 0.000

=====

[3]
9
Lattice="7.442 0.000 0.000 -3.721 6.445 0.000 0.000 0.000 4.539" Properties=species:S:1:pos:R:3 comment="r²SCAN NdMgGa, relaxed" e_tot_ev_per_cell=-140.092 formation_energy_ev_per_atom=-0.556 density_g_cm3=5.452 pbc="T T T"
Ga 3.721 2.148 2.270
Ga 0.000 0.000 0.000
Ga 0.000 4.297 2.270
Nd 2.146 3.717 0.000
Nd 3.150 0.000 0.000
Nd -1.575 2.728 0.000
Mg -2.818 4.881 2.270
Mg 0.903 1.564 2.270
Mg 5.636 0.000 2.270

=====

[4]
4
Lattice="0.000 2.923 2.923 2.923 0.000 2.923 2.923 2.923 0.000" Properties=species:S:1:pos:R:3 comment="r²SCAN MgGaNi2, relaxed" e_tot_ev_per_cell=-40.794 formation_energy_ev_per_atom=-0.305 density_g_cm3=7.028 pbc="T T T"
Ga 1.462 1.462 1.462
Ni 2.923 2.923 2.923
Ni 0.000 0.000 0.000
Mg 4.385 4.385 4.385

=====

[5]
80
Lattice="-5.798 5.798 5.798 5.798 -5.798 5.798 5.798 5.798 -5.798" Properties=species:S:1:pos:R:3 comment="r²SCAN Mg3Ga2Si3O12, relaxed" e_tot_ev_per_cell=-756.713 formation_energy_ev_per_atom=-2.790 density_g_cm3=4.163 pbc="T T T"
O 5.177 1.814 0.389
O 5.177 3.983 6.187
O 3.983 0.389 6.419
O 0.621 1.814 -0.389
O 2.278 9.086 -1.085
O 5.177 -1.814 5.408
O 0.389 5.177 1.814
O 8.076 2.509 -1.085
O 0.621 7.612 0.389
O 2.278 3.288 1.085
O 7.612 0.389 0.621
O -1.814 5.408 5.177
O 9.086 -1.085 2.278
O 3.288 -1.085 3.520
O 1.085 2.278 3.288
O 6.419 3.983 0.389
O 3.983 5.408 0.621
O -1.085 2.278 9.086
O 3.288 1.085 2.278
O 0.621 3.983 5.408
O 3.520 2.509 4.713
O 2.509 -1.085 8.076
O 6.882 -2.278 3.288
O 5.408 -0.621 1.814
O 6.882 2.278 2.509
O 4.713 3.520 2.509
O -3.288 6.882 3.520
O -2.278 3.288 6.882
O 0.389 6.419 3.983
O 2.509 4.713 3.520
O 0.389 0.621 7.612
O -0.621 1.814 5.408
O 3.288 6.882 -2.278
O 3.520 3.288 -1.085
O -1.085 8.076 2.509
O 3.983 6.187 5.177
O 6.187 5.177 3.983
O 5.408 5.177 -1.814
O 1.814 0.389 5.177
O 3.520 -3.288 6.882
O -0.389 0.621 1.814
O 2.278 2.509 6.882
O 1.814 -0.389 0.621
O 5.408 0.621 3.983
O -1.085 3.520 3.288
O 6.882 3.520 -3.288
O 2.509 6.882 2.278
O 1.814 5.408 -0.621
Si 1.449 0.000 8.697
Si 0.000 8.697 1.449
Si 1.449 5.798 2.899
Si 4.348 5.798 -2.899
Si 8.697 1.449 0.000
Si 4.348 0.000 2.899
Si 2.899 1.449 5.798
Si 5.798 2.899 1.449
Si -2.899 4.348 5.798
Si 5.798 -2.899 4.348
Si 2.899 4.348 0.000
Si 0.000 2.899 4.348
Ga 0.000 0.000 5.798
Ga 0.000 0.000 0.000
Ga 0.000 5.798 0.000
Ga 5.798 0.000 0.000
Ga -2.899 2.899 2.899
Ga 2.899 2.899 -2.899
Ga 2.899 2.899 2.899
Ga 2.899 -2.899 2.899
Mg 0.000 2.899 7.247
Mg 2.899 -1.449 5.798
Mg 4.348 5.798 2.899
Mg 2.899 7.247 0.000
Mg 1.449 0.000 2.899
Mg 2.899 1.449 0.000
Mg 2.899 4.348 5.798
Mg 0.000 2.899 1.449
Mg -1.449 5.798 2.899
Mg 5.798 2.899 4.348
Mg 7.247 0.000 2.899
Mg 5.798 2.899 -1.449

=====

[6]
4
Lattice="0.000 3.735 3.735 3.735 0.000 3.735 3.735 3.735 0.000" Properties=species:S:1:pos:R:3 comment="r²SCAN Pm2MgGa, relaxed" e_tot_ev_per_cell=-76.215 formation_energy_ev_per_atom=-0.380 density_g_cm3=6.118 pbc="T T T"
Mg 5.603 5.603 5.603
Pm 0.000 0.000 0.000
Pm 3.735 3.735 3.735
Ga 1.868 1.868 1.868

=====

[7]
10
Lattice="-3.041 -1.960 1.150 -1.822 -1.221 -6.896 3.930 -6.076 0.038" Properties=species:S:1:pos:R:3 comment="r²SCAN MgSc2Ga2, relaxed" e_tot_ev_per_cell=-105.336 formation_energy_ev_per_atom=-0.563 density_g_cm3=4.237 pbc="T T T"
Sc 0.488 -6.813 -4.054
Sc -1.420 -2.444 -1.654
Sc -1.748 -3.957 -5.097
Sc 0.815 -5.301 -0.611
Ga -0.653 -1.504 -4.288
Ga 0.848 -4.854 -6.028
Ga 2.761 -5.793 -2.570
Ga 1.261 -2.443 -0.830
Mg 1.054 -3.649 -3.429
Mg 0.000 0.000 0.000

=====

[8]
9
Lattice="7.364 0.000 0.000 -3.682 6.377 0.000 0.000 0.000 4.497" Properties=species:S:1:pos:R:3 comment="r²SCAN SmMgGa, relaxed" e_tot_ev_per_cell=-141.134 formation_energy_ev_per_atom=-0.567 density_g_cm3=5.764 pbc="T T T"
Mg 1.792 0.000 2.249
Mg 2.786 4.825 2.249
Mg -0.896 1.552 2.249
Sm 1.561 2.703 0.000
Sm -2.121 3.674 0.000
Sm 4.243 0.000 0.000
Ga 0.000 0.000 0.000
Ga 0.000 4.252 2.249
Ga 3.682 2.126 2.249

=====

[9]
9
Lattice="3.631 -6.289 0.000 3.631 6.289 0.000 0.000 0.000 4.429" Properties=species:S:1:pos:R:3 comment="r²SCAN TbMgGa, relaxed" e_tot_ev_per_cell=-145.675 formation_energy_ev_per_atom=-0.573 density_g_cm3=6.229 pbc="T T T"
Tb 2.087 -3.614 0.000
Tb 2.087 3.614 0.000
Tb 3.089 0.000 0.000
Mg 5.482 0.000 2.215
Mg 0.890 1.541 2.215
Mg 0.890 -1.541 2.215
Ga 3.631 2.096 2.215
Ga 0.000 0.000 0.000
Ga 3.631 -2.096 2.215

=====

[10]
9
Lattice="-3.916 5.911 -0.959 -1.735 -6.036 -3.427 -2.569 -1.160 3.343" Properties=species:S:1:pos:R:3 comment="r²SCAN TmMgGa, relaxed" e_tot_ev_per_cell=-157.092 formation_energy_ev_per_atom=-0.544 density_g_cm3=6.756 pbc="T T T"
Ga -4.474 1.349 -0.110
Ga -3.747 -2.634 -0.933
Ga 0.000 0.000 0.000
Mg -5.559 -0.675 -1.646
Mg -2.239 0.861 1.438
Mg -1.708 -2.051 0.836
Tm -2.242 3.385 -0.549
Tm -2.415 -0.054 -1.875
Tm -0.994 -3.456 -1.962

=====

[11]
5
Lattice="4.391 1.941 0.046 -2.685 2.193 -3.322 -2.034 0.542 4.315" Properties=species:S:1:pos:R:3 comment="r²SCAN MnGa4, relaxed" e_tot_ev_per_cell=-61.156 formation_energy_ev_per_atom=-0.140 density_g_cm3=6.507 pbc="T T T"
Ga -1.342 1.096 -1.661
Ga -1.017 0.271 2.157
Ga -0.164 2.338 0.519
Ga 2.195 0.970 0.023
Mn 0.000 0.000 0.000

=====

[12]
12
Lattice="-0.549 3.497 -0.162 -0.839 0.028 3.443 10.158 1.709 2.461" Properties=species:S:1:pos:R:3 comment="r²SCAN MnGa2Ni9, relaxed" e_tot_ev_per_cell=-148.495 formation_energy_ev_per_atom=-0.258 density_g_cm3=9.021 pbc="T T T"
Ni 8.041 1.437 3.771
Ni 4.660 0.868 2.952
Ni 4.805 2.603 1.149
Ni 1.278 0.300 2.133
Ni 1.423 2.034 0.330
Ni 6.074 2.901 3.280
Ni 8.186 3.172 1.968
Ni -0.694 1.763 1.640
Ni 2.697 2.333 2.462
Ga 6.767 1.138 1.639
Ga 3.391 0.570 0.821
Mn 0.000 0.000 0.000

=====

[13]
4
Lattice="3.532 0.000 2.039 1.177 3.330 2.039 0.000 0.000 4.079" Properties=species:S:1:pos:R:3 comment="r²SCAN MnGaNi2, relaxed" e_tot_ev_per_cell=-51.746 formation_energy_ev_per_atom=-0.414 density_g_cm3=8.376 pbc="T T T"
Ni 3.532 2.498 6.118
Ni 1.177 0.833 2.039
Mn 2.355 1.665 4.079
Ga 0.000 0.000 0.000

=====

[14]
4
Lattice="-0.805 3.251 -1.942 0.951 -1.749 -3.321 -3.101 -1.716 2.272" Properties=species:S:1:pos:R:3 comment="r²SCAN MnGaNi2, relaxed" e_tot_ev_per_cell=-51.797 formation_energy_ev_per_atom=-0.427 density_g_cm3=8.383 pbc="T T T"
Ni -1.039 -1.357 -1.840
Ni -1.917 1.143 -1.151
Mn 0.073 0.751 -2.632
Ga 0.000 0.000 0.000

=====

[15]
32
Lattice="5.670 0.000 0.000 0.000 7.272 0.000 0.000 0.000 8.463" Properties=species:S:1:pos:R:3 comment="r²SCAN YMnGaO5, relaxed" e_tot_ev_per_cell=-392.757 formation_energy_ev_per_atom=-2.736 density_g_cm3=5.588 pbc="T T T"
O 4.373 3.636 4.231
O 1.454 4.412 1.731
O 0.000 6.182 3.636
O 1.454 2.860 6.732
O 4.216 0.776 2.500
O 4.373 0.000 0.000
O 2.835 6.107 3.748
O 2.835 2.471 0.484
O 1.454 0.776 2.500
O 0.000 4.726 7.867
O 4.216 4.412 1.731
O 0.000 1.090 4.827
O 1.454 6.496 5.963
O 4.216 6.496 5.963
O 2.835 4.801 7.979
O 2.835 1.165 4.715
O 4.216 2.860 6.732
O 1.297 3.636 4.231
O 1.297 0.000 0.000
O 0.000 2.546 0.595
Mn 4.261 3.636 0.000
Mn 1.409 0.000 4.231
Mn 1.409 3.636 0.000
Mn 4.261 0.000 4.231
Y 2.835 4.610 5.662
Y 2.835 2.662 2.801
Y 2.835 0.974 7.032
Y 2.835 6.298 1.431
Ga 0.000 6.485 7.224
Ga 0.000 0.787 1.238
Ga 0.000 4.423 2.993
Ga 0.000 2.849 5.470

=====

[16]
9
Lattice="0.000 4.404 4.404 4.404 0.000 4.404 4.404 4.404 0.000" Properties=species:S:1:pos:R:3 comment="r²SCAN Sm2MnGa6, relaxed" e_tot_ev_per_cell=-148.536 formation_energy_ev_per_atom=-0.637 density_g_cm3=7.525 pbc="T T T"
Ga 1.900 4.404 4.404
Ga 4.404 4.404 1.900
Ga 4.404 1.900 4.404
Ga 6.907 4.404 4.404
Ga 4.404 6.907 4.404
Ga 4.404 4.404 6.907
Sm 6.605 6.605 6.605
Sm 2.202 2.202 2.202
Mn 4.404 4.404 4.404

=====

[17]
8
Lattice="4.945 0.000 0.000 0.000 4.945 0.000 0.000 0.000 4.945" Properties=species:S:1:pos:R:3 comment="r²SCAN GaMo3, relaxed" e_tot_ev_per_cell=-180.794 formation_energy_ev_per_atom=-0.185 density_g_cm3=9.818 pbc="T T T"
Mo 0.000 2.473 3.709
Mo 0.000 2.473 1.236
Mo 1.236 0.000 2.473
Mo 3.709 0.000 2.473
Mo 2.473 3.709 0.000
Mo 2.473 1.236 0.000
Ga 2.473 2.473 2.473
Ga 0.000 0.000 0.000

=====

[18]
14
Lattice="-5.251 0.112 -1.352 1.680 -3.137 4.093 -1.293 6.565 5.563" Properties=species:S:1:pos:R:3 comment="r²SCAN Zn9Ga3Mo2, relaxed" e_tot_ev_per_cell=-168.266 formation_energy_ev_per_atom=-0.114 density_g_cm3=7.415 pbc="T T T"
Mo -0.967 -0.344 3.727
Mo -3.897 3.883 4.576
Zn 0.840 -1.568 2.046
Zn -0.410 2.363 7.441
Zn -2.625 0.056 -0.676
Zn -3.581 -0.454 2.990
Zn -1.284 3.994 5.313
Zn -3.140 2.421 6.738
Zn -1.724 1.119 1.565
Zn -1.785 -1.513 1.370
Zn -4.454 1.177 0.862
Ga -2.432 1.770 4.151
Ga -3.272 3.338 2.105
Ga 0.193 1.714 4.828

=====

[19]
4
Lattice="3.189 0.000 0.000 -1.594 2.762 0.000 0.000 0.000 5.192" Properties=species:S:1:pos:R:3 comment="r²SCAN GaN, relaxed" e_tot_ev_per_cell=-43.823 formation_energy_ev_per_atom=-0.670 density_g_cm3=6.081 pbc="T T T"
N 0.000 1.841 1.952
N 1.594 0.921 4.548
Ga 1.594 0.921 2.591
Ga 0.000 1.841 5.188

=====

[20]
2
Lattice="-3.059 -0.698 0.557 -1.156 0.156 2.966 -2.043 2.313 0.795" Properties=species:S:1:pos:R:3 comment="r²SCAN GaN, relaxed" e_tot_ev_per_cell=-21.898 formation_energy_ev_per_atom=-0.663 density_g_cm3=6.075 pbc="T T T"
Ga 0.000 0.000 0.000
N -1.565 0.443 1.079

=====

Number 1: total magnetization 0.0 Bohr magnetons per cell. Number 2: total magnetization 0.0 Bohr magnetons per cell. Number 3: total magnetization 0.0 Bohr magnetons per cell. Number 4: total magnetization 0.0 Bohr magnetons per cell. Number 5: total magnetization 0.0 Bohr magnetons per cell. Number 6: total magnetization 0.0 Bohr magnetons per cell. Number 7: total magnetization 0.0 Bohr magnetons per cell. Number 8: total magnetization 0.0 Bohr magnetons per cell. Number 9: total magnetization 0.0 Bohr magnetons per cell. Number 10: total magnetization 0.0 Bohr magnetons per cell. Number 11: total magnetization 0.8 Bohr magnetons per cell. Number 12: total magnetization 7.4 Bohr magnetons per cell. Number 13: total magnetization 4.8 Bohr magnetons per cell. Number 14: total magnetization 4.7 Bohr magnetons per cell. Number 15: total magnetization 12.0 Bohr magnetons per cell. Number 16: total magnetization 2.7 Bohr magnetons per cell. Number 17: total magnetization 0.0 Bohr magnetons per cell. Number 18: total magnetization 0.0 Bohr magnetons per cell. Number 19: total magnetization 0.0 Bohr magnetons per cell. Number 20: total magnetization 0.0 Bohr magnetons per cell.